DFT (PBE with a Hubbard U) results for a relaxed SrLiNiF6 crystal.

Unit cell a=5.2232 b=5.2232 c=10.4701 alpha=90.00 beta=90.00 gamma=120.00
Last column: nearest neighbours and their distance in Å.
Space group P-31c (No. 163)
One atom of each set of equivalent atoms:
Sr 0.0000 0.0000 0.0000 x2  6 F 2.45
Li 0.3333 0.6667 0.2500 x2  6 F 2.06
Ni 0.3333 0.6667 0.7500 x2  6 F 1.92
F 0.0199 0.3774 0.6457 x12  1 Ni 1.92, 1 Li 2.06

total moment	6.00	μB/cell
raw total energy	-4.72	eV per atom